(1)
# Li2SiNiO4

Li2SiNiO4 after structural relaxation (PBE with a Hubbard U, the Materials Project database).

Values from the calculation:
The energy relative to the elements is -2397 meV/atom. The calculation puts the energy above the most stable polymorph in this dataset at 54.1 meV per atom. The corrected total energy (MP2020 scheme) comes out at -6.749 eV per atom.

Unit cell a=5.359 b=10.450 c=12.787 alpha=90.00 beta=90.00 gamma=90.00
Fractional positions:
1 O 0.542 0.314 0.190
2 O 0.591 0.539 0.085
3 O 0.173 0.993 0.691
4 O 0.333 0.305 0.961
5 O 0.392 0.028 0.296
6 O 0.100 0.702 0.030
7 O 0.030 0.221 0.821
8 O 0.458 0.686 0.690
9 O 0.906 0.069 0.429
10 O 0.542 0.186 0.690
11 O 0.591 0.961 0.585
12 O 0.094 0.931 0.929
13 O 0.906 0.431 0.929
14 O 0.900 0.202 0.030
15 O 0.900 0.298 0.530
16 O 0.667 0.695 0.461
17 O 0.094 0.569 0.429
18 O 0.392 0.472 0.796
19 O 0.827 0.007 0.191
20 O 0.030 0.279 0.321
21 O 0.608 0.972 0.796
22 O 0.173 0.507 0.191
23 O 0.458 0.814 0.190
24 O 0.608 0.528 0.296
25 O 0.333 0.195 0.461
26 O 0.100 0.798 0.530
27 O 0.409 0.039 0.085
28 O 0.970 0.779 0.321
29 O 0.409 0.461 0.585
30 O 0.667 0.805 0.961
31 O 0.970 0.721 0.821
32 O 0.827 0.493 0.691
33 Si 0.527 0.531 0.690
34 Si 0.967 0.711 0.438
35 Si 0.033 0.211 0.438
36 Si 0.967 0.789 0.938
37 Si 0.527 0.969 0.190
38 Si 0.473 0.031 0.690
39 Si 0.473 0.469 0.190
40 Si 0.033 0.289 0.938
41 Li 0.612 0.782 0.803
42 Li 0.120 0.788 0.695
43 Li 0.038 0.470 0.560
44 Li 0.457 0.957 0.941
45 Li 0.388 0.218 0.303
46 Li 0.388 0.282 0.803
47 Li 0.612 0.718 0.303
48 Li 0.543 0.457 0.941
49 Li 0.038 0.030 0.060
50 Li 0.962 0.530 0.060
51 Li 0.543 0.043 0.441
52 Li 0.457 0.543 0.441
53 Li 0.880 0.288 0.695
54 Li 0.120 0.712 0.195
55 Li 0.880 0.212 0.195
56 Li 0.962 0.970 0.560
57 Ni 0.469 0.787 0.559
58 Ni 0.957 0.037 0.812
59 Ni 0.531 0.287 0.559
60 Ni 0.957 0.463 0.312
61 Ni 0.469 0.713 0.059
62 Ni 0.043 0.537 0.812
63 Ni 0.043 0.963 0.312
64 Ni 0.531 0.213 0.059

***

(2)
# Li2Si12Ni5O30

Li2Si12Ni5O30 after structural relaxation (PBE with a Hubbard U, the Materials Project database).

Values from the calculation:
The energy relative to the elements is -2721 meV/atom. The corrected total energy (MP2020 scheme) comes out at -7.747 eV per atom.

Unit cell a=10.150 b=10.150 c=14.388 alpha=90.00 beta=90.00 gamma=120.00
Fractional positions:
1 O 0.741 0.597 0.750
2 O 0.266 0.391 0.750
3 O 0.225 0.941 0.615
4 O 0.059 0.284 0.885
5 O 0.509 0.162 0.584
6 O 0.284 0.059 0.115
7 O 0.729 0.943 0.387
8 O 0.775 0.716 0.385
9 O 0.491 0.654 0.084
10 O 0.941 0.225 0.115
11 O 0.125 0.734 0.750
12 O 0.597 0.741 0.250
13 O 0.847 0.500 0.423
14 O 0.500 0.847 0.923
15 O 0.500 0.347 0.423
16 O 0.347 0.500 0.577
17 O 0.838 0.346 0.916
18 O 0.500 0.847 0.577
19 O 0.491 0.654 0.416
20 O 0.847 0.500 0.077
21 O 0.609 0.875 0.750
22 O 0.729 0.943 0.113
23 O 0.225 0.941 0.885
24 O 0.716 0.775 0.885
25 O 0.144 0.403 0.250
26 O 0.214 0.271 0.387
27 O 0.941 0.225 0.385
28 O 0.347 0.500 0.923
29 O 0.214 0.271 0.113
30 O 0.271 0.214 0.613
31 O 0.259 0.856 0.250
32 O 0.654 0.491 0.916
33 O 0.653 0.153 0.423
34 O 0.271 0.214 0.887
35 O 0.716 0.775 0.615
36 O 0.057 0.786 0.113
37 O 0.509 0.162 0.916
38 O 0.943 0.729 0.887
39 O 0.856 0.259 0.750
40 O 0.162 0.509 0.084
41 O 0.786 0.057 0.613
42 O 0.775 0.716 0.115
43 O 0.059 0.284 0.615
44 O 0.346 0.838 0.084
45 O 0.500 0.347 0.077
46 O 0.346 0.838 0.416
47 O 0.838 0.346 0.584
48 O 0.391 0.266 0.250
49 O 0.153 0.653 0.923
50 O 0.654 0.491 0.584
51 O 0.162 0.509 0.416
52 O 0.734 0.125 0.250
53 O 0.786 0.057 0.887
54 O 0.875 0.609 0.250
55 O 0.653 0.153 0.077
56 O 0.403 0.144 0.750
57 O 0.284 0.059 0.385
58 O 0.943 0.729 0.613
59 O 0.057 0.786 0.387
60 O 0.153 0.653 0.577
61 Si 0.355 0.117 0.861
62 Si 0.355 0.240 0.361
63 Si 0.240 0.355 0.861
64 Si 0.763 0.645 0.861
65 Si 0.645 0.763 0.361
66 Si 0.885 0.645 0.361
67 Si 0.645 0.885 0.861
68 Si 0.115 0.760 0.639
69 Si 0.237 0.883 0.361
70 Si 0.240 0.355 0.639
71 Si 0.760 0.115 0.361
72 Si 0.117 0.355 0.361
73 Si 0.760 0.115 0.139
74 Si 0.237 0.883 0.139
75 Si 0.355 0.240 0.139
76 Si 0.115 0.760 0.861
77 Si 0.645 0.763 0.139
78 Si 0.355 0.117 0.639
79 Si 0.763 0.645 0.639
80 Si 0.883 0.237 0.861
81 Si 0.885 0.645 0.139
82 Si 0.117 0.355 0.139
83 Si 0.883 0.237 0.639
84 Si 0.645 0.885 0.639
85 Ni 0.667 0.333 0.499
86 Ni 0.512 0.512 0.500
87 Ni 0.333 0.667 0.501
88 Ni 0.000 0.488 0.000
89 Ni 0.488 0.000 0.000
90 Ni 0.667 0.333 0.001
91 Ni 0.488 0.000 0.500
92 Ni 0.512 0.512 0.000
93 Ni 0.333 0.667 0.999
94 Ni 0.000 0.488 0.500
95 Li 0.000 0.000 0.500
96 Li 0.667 0.333 0.750
97 Li 0.000 0.000 0.000
98 Li 0.333 0.667 0.250

***

(3)
# Li3SiNiO5

Li3SiNiO5 after structural relaxation (PBE with a Hubbard U, the Materials Project database).

Values from the calculation:
The energy relative to the elements is -2260 meV/atom. The calculation puts the energy above the most stable polymorph in this dataset at 19.9 meV per atom. The corrected total energy (MP2020 scheme) comes out at -6.427 eV per atom.

Unit cell a=5.017 b=5.765 c=12.164 alpha=86.06 beta=81.53 gamma=108.11
Fractional positions:
1 Li 0.004 0.202 0.202
2 Li 0.000 0.900 0.400
3 Li 0.505 0.501 0.500
4 Li 0.495 0.299 0.300
5 Li 0.005 0.001 0.000
6 Li 0.995 0.799 0.800
7 Li 0.496 0.098 0.098
8 Li 0.504 0.702 0.702
9 Li 0.000 0.400 0.400
10 Li 0.500 0.400 0.900
11 Li 0.500 0.900 0.900
12 Li 0.996 0.598 0.598
13 O 0.203 0.575 0.857
14 O 0.233 0.130 0.837
15 O 0.297 0.725 0.443
16 O 0.731 0.836 0.547
17 O 0.267 0.170 0.463
18 O 0.276 0.528 0.252
19 O 0.269 0.964 0.253
20 O 0.769 0.464 0.753
21 O 0.779 0.417 0.137
22 O 0.279 0.917 0.637
23 O 0.733 0.630 0.337
24 O 0.776 0.028 0.752
25 O 0.721 0.883 0.163
26 O 0.797 0.225 0.943
27 O 0.221 0.383 0.663
28 O 0.767 0.670 0.963
29 O 0.224 0.772 0.048
30 O 0.703 0.075 0.357
31 O 0.724 0.272 0.548
32 O 0.231 0.336 0.047
33 Ni 0.500 0.599 0.100
34 Ni 0.500 0.201 0.700
35 Ni 0.000 0.701 0.200
36 Ni 0.000 0.099 0.600
37 Si 0.500 0.998 0.499
38 Si 0.000 0.302 0.801
39 Si 0.000 0.498 0.999
40 Si 0.500 0.802 0.301

***

(4)
# Li2SiNiO4

Li2SiNiO4 after structural relaxation (PBE with a Hubbard U, the Materials Project database).

Values from the calculation:
The energy relative to the elements is -2449 meV/atom. The calculation puts the energy above the most stable polymorph in this dataset at 1.9 meV per atom. The corrected total energy (MP2020 scheme) comes out at -6.801 eV per atom.

Unit cell a=4.937 b=6.301 c=10.713 alpha=90.00 beta=90.00 gamma=90.00
Fractional positions:
1 O 0.783 0.250 0.688
2 O 0.719 0.466 0.407
3 O 0.161 0.250 0.333
4 O 0.839 0.750 0.667
5 O 0.219 0.534 0.093
6 O 0.219 0.966 0.093
7 O 0.781 0.466 0.907
8 O 0.281 0.534 0.593
9 O 0.339 0.250 0.833
10 O 0.281 0.966 0.593
11 O 0.661 0.750 0.167
12 O 0.719 0.034 0.407
13 O 0.781 0.034 0.907
14 O 0.283 0.750 0.812
15 O 0.717 0.250 0.188
16 O 0.217 0.750 0.312
17 Li 0.314 0.499 0.411
18 Li 0.814 0.501 0.089
19 Li 0.686 0.999 0.589
20 Li 0.814 0.999 0.089
21 Li 0.186 0.499 0.911
22 Li 0.186 0.001 0.911
23 Li 0.314 0.001 0.411
24 Li 0.686 0.501 0.589
25 Si 0.674 0.250 0.834
26 Si 0.174 0.750 0.666
27 Si 0.826 0.250 0.334
28 Si 0.326 0.750 0.166
29 Ni 0.314 0.250 0.161
30 Ni 0.814 0.750 0.339
31 Ni 0.186 0.250 0.661
32 Ni 0.686 0.750 0.839

***

(5)
# Li2SiNiO4

Li2SiNiO4 after structural relaxation (PBE with a Hubbard U, the Materials Project database).

Values from the calculation:
The energy relative to the elements is -2446 meV/atom. The calculation puts the energy above the most stable polymorph in this dataset at 5.2 meV per atom. The corrected total energy (MP2020 scheme) comes out at -6.798 eV per atom.

Unit cell a=7.370 b=7.963 c=7.364 alpha=65.72 beta=95.96 gamma=65.71
Fractional positions:
1 O 0.586 0.995 0.761
2 O 0.086 0.995 0.261
3 O 0.394 0.500 0.509
4 O 0.716 0.280 0.401
5 O 0.903 0.781 0.213
6 O 0.512 0.000 0.391
7 O 0.894 0.500 0.009
8 O 0.189 0.215 0.497
9 O 0.216 0.280 0.900
10 O 0.263 0.495 0.083
11 O 0.689 0.215 0.997
12 O 0.500 0.714 0.186
13 O 0.403 0.781 0.713
14 O 0.763 0.495 0.583
15 O 0.999 0.714 0.686
16 O 0.012 0.000 0.892
17 Si 0.921 0.997 0.088
18 Si 0.422 0.998 0.588
19 Si 0.090 0.497 0.919
20 Si 0.590 0.497 0.419
21 Li 0.286 0.750 0.960
22 Li 0.327 0.996 0.173
23 Li 0.827 0.996 0.673
24 Li 0.786 0.750 0.460
25 Li 0.463 0.250 0.784
26 Li 0.963 0.250 0.284
27 Li 0.175 0.497 0.325
28 Li 0.675 0.497 0.825
29 Ni 0.710 0.741 0.043
30 Ni 0.045 0.242 0.706
31 Ni 0.209 0.741 0.543
32 Ni 0.545 0.242 0.206

***

(6)
# Li2Si2NiO6

Li2Si2NiO6 after structural relaxation (PBE with a Hubbard U, the Materials Project database).

Values from the calculation:
The energy relative to the elements is -2657 meV/atom. The calculation puts the energy above the most stable polymorph in this dataset at 0.0 meV per atom. The corrected total energy (MP2020 scheme) comes out at -7.215 eV per atom.

Unit cell a=5.125 b=19.485 c=5.129 alpha=90.20 beta=91.15 gamma=90.22
Fractional positions:
1 Si 0.969 0.669 0.111
2 Si 0.603 0.830 0.472
3 Si 0.095 0.335 0.973
4 Si 0.103 0.917 0.472
5 Si 0.966 0.582 0.610
6 Si 0.479 0.169 0.589
7 Si 0.598 0.421 0.973
8 Si 0.479 0.083 0.087
9 O 0.098 0.743 0.073
10 O 0.050 0.992 0.593
11 O 0.087 0.636 0.389
12 O 0.599 0.832 0.154
13 O 0.599 0.244 0.535
14 O 0.160 0.085 0.089
15 O 0.103 0.914 0.154
16 O 0.094 0.336 0.654
17 O 0.598 0.140 0.873
18 O 0.885 0.861 0.592
19 O 0.378 0.366 0.093
20 O 0.603 0.008 0.031
21 O 0.087 0.614 0.889
22 O 0.558 0.496 0.100
23 O 0.160 0.165 0.591
24 O 0.559 0.756 0.598
25 O 0.093 0.507 0.572
26 O 0.878 0.390 0.093
27 O 0.598 0.113 0.373
28 O 0.650 0.668 0.103
29 O 0.385 0.886 0.592
30 O 0.593 0.419 0.655
31 O 0.648 0.583 0.602
32 O 0.044 0.259 0.096
33 Li 0.939 0.419 0.492
34 Li 0.946 0.831 0.991
35 Li 0.455 0.917 0.988
36 Li 0.450 0.334 0.488
37 Li 0.485 0.584 0.947
38 Li 0.994 0.082 0.445
39 Li 0.994 0.169 0.946
40 Li 0.486 0.667 0.447
41 Ni 0.459 0.749 0.961
42 Ni 0.974 0.251 0.469
43 Ni 0.977 0.999 0.966
44 Ni 0.454 0.501 0.462

***

(7)
# Li2SiNiO4

Li2SiNiO4 after structural relaxation (PBE with a Hubbard U, the Materials Project database).

Values from the calculation:
The energy relative to the elements is -2427 meV/atom. The calculation puts the energy above the most stable polymorph in this dataset at 24.3 meV per atom. The corrected total energy (MP2020 scheme) comes out at -6.779 eV per atom.

Unit cell a=4.976 b=6.361 c=10.862 alpha=88.30 beta=90.00 gamma=90.00
Fractional positions:
1 Si 0.807 0.262 0.166
2 Si 0.307 0.738 0.334
3 Si 0.193 0.738 0.834
4 Si 0.693 0.262 0.666
5 O 0.805 0.046 0.594
6 O 0.305 0.954 0.906
7 O 0.296 0.753 0.688
8 O 0.704 0.247 0.312
9 O 0.360 0.250 0.665
10 O 0.640 0.750 0.335
11 O 0.297 0.526 0.903
12 O 0.860 0.750 0.835
13 O 0.140 0.250 0.165
14 O 0.203 0.526 0.403
15 O 0.703 0.474 0.097
16 O 0.797 0.474 0.597
17 O 0.796 0.247 0.812
18 O 0.195 0.954 0.406
19 O 0.695 0.046 0.094
20 O 0.204 0.753 0.188
21 Li 0.804 0.737 0.172
22 Li 0.807 0.493 0.415
23 Li 0.693 0.493 0.915
24 Li 0.193 0.507 0.585
25 Li 0.307 0.507 0.085
26 Li 0.196 0.263 0.828
27 Li 0.304 0.263 0.328
28 Li 0.696 0.737 0.672
29 Ni 0.210 0.005 0.590
30 Ni 0.710 0.995 0.910
31 Ni 0.290 0.005 0.090
32 Ni 0.790 0.995 0.410

***

(8)
# Li4Si3Ni2O10

Li4Si3Ni2O10 after structural relaxation (PBE with a Hubbard U, the Materials Project database).

Values from the calculation:
The energy relative to the elements is -2564 meV/atom. The corrected total energy (MP2020 scheme) comes out at -7.035 eV per atom.

Unit cell a=5.308 b=5.308 c=16.681 alpha=82.93 beta=82.93 gamma=61.97
Fractional positions:
1 Si 0.662 0.470 0.598
2 Si 0.530 0.338 0.902
3 Si 0.113 0.887 0.250
4 Si 0.470 0.662 0.098
5 Si 0.338 0.530 0.402
6 Si 0.887 0.113 0.750
7 Li 0.207 0.424 0.730
8 Li 0.169 0.322 0.053
9 Li 0.576 0.793 0.770
10 Li 0.678 0.831 0.447
11 Li 0.322 0.169 0.553
12 Li 0.831 0.678 0.947
13 Li 0.424 0.207 0.230
14 Li 0.793 0.576 0.270
15 O 0.087 0.784 0.455
16 O 0.410 0.791 0.189
17 O 0.370 0.217 0.434
18 O 0.160 0.077 0.793
19 O 0.553 0.638 0.890
20 O 0.630 0.783 0.566
21 O 0.216 0.913 0.045
22 O 0.209 0.590 0.311
23 O 0.923 0.840 0.707
24 O 0.783 0.630 0.066
25 O 0.913 0.216 0.545
26 O 0.590 0.209 0.811
27 O 0.217 0.370 0.934
28 O 0.840 0.923 0.207
29 O 0.791 0.410 0.689
30 O 0.362 0.447 0.610
31 O 0.784 0.087 0.955
32 O 0.447 0.362 0.110
33 O 0.077 0.160 0.293
34 O 0.638 0.553 0.390
35 Ni 0.194 0.001 0.919
36 Ni 0.806 0.999 0.081
37 Ni 0.999 0.806 0.581
38 Ni 0.001 0.194 0.419

***

Which value of corrected total energy (MP2020 scheme) does entry 4 give? -6.801 eV per atom